# 1
First-principles (GGA+U) data for a relaxed structure of Na5Mn2P2C2O14, as listed in the Materials Project.

Unit cell a=6.618 b=9.074 c=10.591 alpha=89.25 beta=90.00 gamma=90.00
Fractional coordinates of all 50 atoms:
Na: 0.250 0.079 0.381
Na: 0.007 0.256 0.631
Na: 0.493 0.256 0.631
Na: 0.999 0.238 0.114
Na: 0.501 0.238 0.114
Na: 0.499 0.762 0.886
Na: 0.001 0.762 0.886
Na: 0.507 0.744 0.369
Na: 0.993 0.744 0.369
Na: 0.750 0.921 0.619
Mn: 0.750 0.358 0.889
Mn: 0.750 0.355 0.388
Mn: 0.250 0.645 0.612
Mn: 0.250 0.642 0.111
P: 0.250 0.424 0.852
P: 0.250 0.420 0.350
P: 0.750 0.580 0.650
P: 0.750 0.576 0.148
C: 0.750 0.070 0.859
C: 0.750 0.066 0.370
C: 0.250 0.934 0.630
C: 0.250 0.930 0.141
O: 0.250 0.075 0.625
O: 0.250 0.070 0.146
O: 0.750 0.142 0.966
O: 0.750 0.137 0.478
O: 0.750 0.151 0.756
O: 0.750 0.144 0.267
O: 0.060 0.333 0.891
O: 0.440 0.333 0.891
O: 0.065 0.324 0.387
O: 0.435 0.324 0.387
O: 0.250 0.442 0.704
O: 0.750 0.430 0.584
O: 0.250 0.445 0.202
O: 0.750 0.422 0.087
O: 0.250 0.578 0.913
O: 0.750 0.555 0.798
O: 0.250 0.570 0.416
O: 0.750 0.558 0.296
O: 0.565 0.676 0.613
O: 0.935 0.676 0.613
O: 0.560 0.667 0.109
O: 0.940 0.667 0.109
O: 0.250 0.856 0.733
O: 0.250 0.849 0.244
O: 0.250 0.863 0.522
O: 0.250 0.858 0.034
O: 0.750 0.930 0.854
O: 0.750 0.925 0.375


# 2
First-principles (GGA+U) data for a relaxed structure of Na2MnPCO7, as listed in the Materials Project.

Unit cell a=6.780 b=10.224 c=10.357 alpha=119.41 beta=90.17 gamma=90.40
Fractional coordinates of all 48 atoms:
Na: 0.983 0.744 0.749
Na: 0.519 0.744 0.751
Na: 0.993 0.758 0.256
Na: 0.509 0.759 0.256
Na: 0.491 0.247 0.740
Na: 0.004 0.246 0.736
Na: 0.013 0.251 0.260
Na: 0.264 0.088 0.939
Mn: 0.249 0.647 0.932
Mn: 0.251 0.644 0.435
Mn: 0.742 0.350 0.562
Mn: 0.744 0.349 0.070
P: 0.750 0.578 0.936
P: 0.752 0.579 0.433
P: 0.248 0.421 0.566
P: 0.248 0.419 0.058
C: 0.247 0.927 0.098
C: 0.251 0.927 0.606
C: 0.751 0.074 0.400
C: 0.753 0.073 0.900
O: 0.754 0.933 0.328
O: 0.754 0.933 0.821
O: 0.253 0.850 0.949
O: 0.252 0.852 0.459
O: 0.250 0.839 0.156
O: 0.254 0.841 0.666
O: 0.935 0.672 0.947
O: 0.563 0.668 0.946
O: 0.939 0.676 0.450
O: 0.564 0.669 0.443
O: 0.750 0.547 0.568
O: 0.246 0.578 0.710
O: 0.751 0.544 0.070
O: 0.252 0.571 0.205
O: 0.750 0.424 0.789
O: 0.238 0.455 0.925
O: 0.761 0.427 0.288
O: 0.244 0.456 0.433
O: 0.432 0.335 0.563
O: 0.061 0.330 0.554
O: 0.433 0.323 0.033
O: 0.068 0.320 0.045
O: 0.756 0.164 0.346
O: 0.748 0.167 0.848
O: 0.742 0.148 0.548
O: 0.755 0.143 0.046
O: 0.239 0.066 0.164
O: 0.247 0.068 0.681


# 3
First-principles (GGA+U) data for a relaxed structure of NaMnPCO7, as listed in the Materials Project.

Unit cell a=8.142 b=8.158 c=10.355 alpha=108.49 beta=106.36 gamma=100.09
Fractional coordinates of all 44 atoms:
Na: 0.776 0.734 0.757
Na: 0.481 0.029 0.757
Na: 0.725 0.753 0.236
Na: 0.223 0.256 0.237
Mn: 0.817 0.067 0.656
Mn: 0.308 0.558 0.659
Mn: 0.695 0.432 0.343
Mn: 0.195 0.932 0.343
P: 0.048 0.795 0.565
P: 0.546 0.297 0.566
P: 0.456 0.700 0.436
P: 0.957 0.201 0.433
C: 0.966 0.224 0.917
C: 0.468 0.726 0.920
C: 0.528 0.282 0.083
C: 0.034 0.775 0.083
O: 0.947 0.697 0.951
O: 0.439 0.206 0.952
O: 0.326 0.585 0.860
O: 0.822 0.081 0.854
O: 0.010 0.268 0.816
O: 0.510 0.767 0.815
O: 0.165 0.723 0.667
O: 0.965 0.908 0.667
O: 0.653 0.211 0.661
O: 0.477 0.420 0.673
O: 0.600 0.847 0.578
O: 0.671 0.420 0.522
O: 0.172 0.919 0.522
O: 0.102 0.349 0.570
O: 0.902 0.649 0.426
O: 0.335 0.572 0.478
O: 0.837 0.074 0.477
O: 0.396 0.156 0.427
O: 0.346 0.780 0.338
O: 0.540 0.589 0.334
O: 0.841 0.274 0.332
O: 0.034 0.083 0.329
O: 0.488 0.237 0.186
O: 0.993 0.731 0.185
O: 0.675 0.418 0.144
O: 0.179 0.915 0.144
O: 0.048 0.303 0.049
O: 0.554 0.808 0.051


# 4
First-principles (GGA+U) data for a relaxed structure of Na4Mn2PC4O16, as listed in the Materials Project.

Unit cell a=10.082 b=9.897 c=9.857 alpha=61.38 beta=59.51 gamma=59.11
Fractional coordinates of all 54 atoms:
Na: 0.539 0.961 0.961
Na: 0.956 0.956 0.544
Na: 0.706 0.706 0.294
Na: 0.289 0.711 0.711
Na: 0.961 0.539 0.539
Na: 0.544 0.544 0.956
Na: 0.294 0.294 0.706
Na: 0.711 0.289 0.289
Mn: 0.125 0.125 0.125
Mn: 0.125 0.625 0.125
Mn: 0.625 0.125 0.125
Mn: 0.125 0.125 0.625
P: 0.500 0.500 0.500
P: 0.750 0.750 0.750
C: 0.913 0.900 0.919
C: 0.331 0.982 0.337
C: 0.268 0.919 0.900
C: 0.900 0.913 0.268
C: 0.350 0.337 0.982
C: 0.982 0.331 0.350
C: 0.919 0.268 0.913
C: 0.337 0.350 0.331
O: 0.766 0.015 0.946
O: 0.566 0.559 0.310
O: 0.940 0.765 0.038
O: 0.212 0.993 0.310
O: 0.257 0.038 0.765
O: 0.475 0.970 0.227
O: 0.565 0.310 0.559
O: 0.310 0.565 0.566
O: 0.970 0.475 0.328
O: 0.765 0.940 0.257
O: 0.304 0.977 0.484
O: 0.559 0.566 0.565
O: 0.273 0.946 0.015
O: 0.015 0.766 0.273
O: 0.023 0.922 0.775
O: 0.328 0.227 0.970
O: 0.922 0.023 0.280
O: 0.227 0.328 0.475
O: 0.235 0.484 0.977
O: 0.977 0.304 0.235
O: 0.691 0.684 0.685
O: 0.946 0.273 0.766
O: 0.485 0.310 0.993
O: 0.280 0.775 0.922
O: 0.940 0.685 0.684
O: 0.685 0.940 0.691
O: 0.775 0.280 0.023
O: 0.993 0.212 0.485
O: 0.038 0.257 0.940
O: 0.310 0.485 0.212
O: 0.684 0.691 0.940
O: 0.484 0.235 0.304


Formation energy values, unit eV per atom, following the record order: -2.336; -2.304; -2.174; -2.010.